{
  "formula": "LaAl2Cu3",
  "functional": "PBE",
  "state": "relaxed",
  "cell": [[1.0447, 0.3686, -5.1399], [-4.4775, -2.3160, 1.4948], [-1.9691, 3.7207, -0.1334]],
  "species": ["Al", "Cu", "Al", "La", "Cu", "Cu"],
  "fractional_positions": [[0.0000, 0.5000, 0.5000], [0.5000, 0.5000, 0.5000], [0.5000, 0.0000, 0.5000], [0.0000, 0.0000, 0.0000], [0.3347, 0.6653, 0.0000], [0.6653, 0.3347, 0.0000]],
  "rho_g_cm3": 6.23,
  "e_form_mev_per_atom": -384.9,
  "dft_energy_ry_per_atom": -0.33116
}

---

{
  "formula": "SrLaAlCuO5",
  "functional": "PBE",
  "state": "relaxed",
  "cell": [[5.4786, 0.0000, 0.0000], [0.0000, 8.0721, 0.0000], [0.0000, 0.0000, 11.0701]],
  "species": ["La", "O", "O", "Cu", "O", "Al", "O", "O", "La", "O", "Sr", "Cu", "Sr", "Cu", "O", "La", "Sr", "O", "Cu", "O", "Al", "Al", "O", "O", "O", "O", "O", "Al", "O", "O", "La", "Sr", "O", "O", "O", "O"],
  "fractional_positions": [[0.2500, 0.8102, 0.3682], [0.2500, 0.2835, 0.6422], [0.7500, 0.2835, 0.8578], [0.7500, 0.0235, 0.3733], [0.5000, 0.0320, 0.2500], [0.2500, 0.4976, 0.1573], [0.2500, 0.7165, 0.1422], [0.5000, 0.0000, 0.0000], [0.2500, 0.1898, 0.8682], [0.2500, 0.3746, 0.0267], [0.2500, 0.7416, 0.9001], [0.2500, 0.9765, 0.6267], [0.7500, 0.2584, 0.0999], [0.2500, 0.0235, 0.1267], [0.5000, 0.9680, 0.7500], [0.7500, 0.1898, 0.6318], [0.7500, 0.7416, 0.5999], [0.0000, 0.0000, 0.0000], [0.7500, 0.9765, 0.8733], [0.7500, 0.6254, 0.9733], [0.7500, 0.5024, 0.8427], [0.7500, 0.4976, 0.3427], [0.7500, 0.3746, 0.4733], [0.5000, 0.4402, 0.2500], [0.0000, 0.5598, 0.7500], [0.0000, 0.0320, 0.2500], [0.0000, 0.9680, 0.7500], [0.2500, 0.5024, 0.6573], [0.7500, 0.7165, 0.3578], [0.5000, 0.0000, 0.5000], [0.7500, 0.8102, 0.1318], [0.2500, 0.2584, 0.4001], [0.0000, 0.0000, 0.5000], [0.2500, 0.6254, 0.5267], [0.5000, 0.5598, 0.7500], [0.0000, 0.4402, 0.2500]],
  "rho_g_cm3": 5.39,
  "e_form_mev_per_atom": -2966.0,
  "total_magnetization_mub_per_cell": 0.00,
  "dft_energy_ry_per_atom": -0.51016
}